# 1
## SbAsRh (GGA-PBE)

Data for a relaxed structure of SbAsRh.

POSCAR file:
```
SbAsRh
1.0
6.4231 0.0000 0.0000
0.0000 6.4024 0.0000
-2.7297 0.0000 5.8953
Sb As Rh
4 4 4
Direct
0.1559 0.1299 0.3682 Sb
0.1559 0.3701 0.8682 Sb
0.8441 0.6299 0.1318 Sb
0.8441 0.8701 0.6318 Sb
0.3470 0.6366 0.6764 As
0.3470 0.8634 0.1764 As
0.6530 0.1366 0.8236 As
0.6530 0.3634 0.3236 As
0.2847 0.5081 0.2957 Rh
0.2847 0.9919 0.7957 Rh
0.7153 0.0081 0.2043 Rh
0.7153 0.4919 0.7043 Rh
```

Mass density: 8.21 g/cm3
Energy of formation: -504 meV/atom
SG: P2_1/c (14)

=====

# 2
## GdSi2Pt2 (GGA-PBE)

Data for a relaxed structure of GdSi2Pt2.

POSCAR file:
```
GdSi2Pt2
1.0
-2.1049 2.1049 4.9635
2.1049 -2.1049 4.9635
2.1049 2.1049 -4.9635
Gd Si Pt
1 2 2
Direct
0.0000 0.0000 0.0000 Gd
0.3812 0.3812 0.0000 Si
0.6188 0.6188 0.0000 Si
0.2500 0.7500 0.5000 Pt
0.7500 0.2500 0.5000 Pt
```

Mass density: 11.39 g/cm3
Energy of formation: -1025 meV/atom
SG: I4/mmm (139)

=====

# 3
## Tm5Ge10Ir4 (GGA-PBE)

Data for a relaxed structure of Tm5Ge10Ir4.

POSCAR file:
```
Tm5Ge10Ir4
1.0
12.9933 0.0000 0.0000
0.0000 12.9933 0.0000
0.0000 0.0000 4.2929
Tm Ge Ir
10 20 8
Direct
0.0000 0.0000 0.0000 Tm
0.1172 0.3828 0.5000 Tm
0.1746 0.6746 0.5000 Tm
0.3254 0.1746 0.5000 Tm
0.3828 0.8828 0.5000 Tm
0.5000 0.5000 0.0000 Tm
0.6172 0.1172 0.5000 Tm
0.6746 0.8254 0.5000 Tm
0.8254 0.3254 0.5000 Tm
0.8828 0.6172 0.5000 Tm
0.0080 0.8461 0.5000 Ge
0.0664 0.5664 0.0000 Ge
0.1539 0.0080 0.5000 Ge
0.1631 0.2003 0.0000 Ge
0.2003 0.8369 0.0000 Ge
0.2997 0.3369 0.0000 Ge
0.3369 0.7003 0.0000 Ge
0.3461 0.5080 0.5000 Ge
0.4336 0.0664 0.0000 Ge
0.4920 0.3461 0.5000 Ge
0.5080 0.6539 0.5000 Ge
0.5664 0.9336 0.0000 Ge
0.6539 0.4920 0.5000 Ge
0.6631 0.2997 0.0000 Ge
0.7003 0.6631 0.0000 Ge
0.7997 0.1631 0.0000 Ge
0.8369 0.7997 0.0000 Ge
0.8461 0.9920 0.5000 Ge
0.9336 0.4336 0.0000 Ge
0.9920 0.1539 0.5000 Ge
0.0213 0.7530 0.0000 Ir
0.2470 0.0213 0.0000 Ir
0.2530 0.5213 0.0000 Ir
0.4787 0.2530 0.0000 Ir
0.5213 0.7470 0.0000 Ir
0.7470 0.4787 0.0000 Ir
0.7530 0.9787 0.0000 Ir
0.9787 0.2470 0.0000 Ir
```

Mass density: 10.72 g/cm3
Energy of formation: -755 meV/atom
SG: P4/mbm (127)

=====

# 4
## La4MgTi4O10 (GGA-PBE)

Data for a relaxed structure of La4MgTi4O10.

POSCAR file:
```
La4MgTi4O10
1.0
4.0096 -8.2787 0.0000
4.0096 8.2787 0.0000
-3.8841 0.0000 4.0159
La Mg Ti O
4 1 4 10
Direct
0.1105 0.8895 0.0000 La
0.3639 0.6957 0.0335 La
0.6957 0.3639 0.0335 La
0.8895 0.1105 0.0000 La
0.3979 0.3979 0.8927 Mg
0.2491 0.7472 0.4998 Ti
0.5074 0.5074 0.5004 Ti
0.7472 0.2491 0.4998 Ti
0.8950 0.8950 0.3989 Ti
0.0025 0.4745 0.9945 O
0.0040 0.4732 0.4848 O
0.0600 0.8106 0.4397 O
0.1773 0.1773 0.4088 O
0.1828 0.1828 0.9487 O
0.4183 0.6642 0.5384 O
0.4732 0.0040 0.4848 O
0.4745 0.0025 0.9945 O
0.6642 0.4183 0.5384 O
0.8106 0.0600 0.4397 O
```

E above lowest polymorph: 0.000 eV per atom
Mass density: 5.80 g/cm3
Energy of formation: -2975 meV/atom
SG: Cm (8)

=====

# 5
## FeCo3 (GGA-PBE)

Data for a relaxed structure of FeCo3.

POSCAR file:
```
FeCo3
1.0
2.4660 0.0000 0.0000
0.0000 2.4660 0.0000
0.0000 0.0000 7.0635
Fe Co
1 3
Direct
0.0000 0.0000 0.0000 Fe
0.0000 0.0000 0.5000 Co
0.5000 0.5000 0.2546 Co
0.5000 0.5000 0.7454 Co
```

Mass density: 8.99 g/cm3
Energy of formation: 35 meV/atom
SG: P4/mmm (123)

=====

# 6
## Ce2Ti2O7 (GGA-PBE)

Data for a relaxed structure of Ce2Ti2O7.

POSCAR file:
```
Ce2Ti2O7
1.0
0.0000 5.1819 5.1819
5.1819 0.0000 5.1819
5.1819 5.1819 0.0000
Ce Ti O
4 4 14
Direct
0.0000 0.0000 0.0000 Ce
0.0000 0.0000 0.5000 Ce
0.0000 0.5000 0.0000 Ce
0.5000 0.0000 0.0000 Ce
0.0000 0.5000 0.5000 Ti
0.5000 0.0000 0.5000 Ti
0.5000 0.5000 0.0000 Ti
0.5000 0.5000 0.5000 Ti
0.1250 0.1250 0.1250 O
0.1720 0.1720 0.5780 O
0.1720 0.5780 0.1720 O
0.1720 0.5780 0.5780 O
0.4220 0.4220 0.8280 O
0.4220 0.8280 0.4220 O
0.4220 0.8280 0.8280 O
0.5780 0.1720 0.1720 O
0.5780 0.1720 0.5780 O
0.5780 0.5780 0.1720 O
0.8280 0.4220 0.4220 O
0.8280 0.4220 0.8280 O
0.8280 0.8280 0.4220 O
0.8750 0.8750 0.8750 O
```

Mass density: 5.82 g/cm3
Energy of formation: -3661 meV/atom
SG: Fd-3m (227)

=====

# 7
## CaV2N2 (GGA-PBE)

Data for a relaxed structure of CaV2N2.

POSCAR file:
```
CaV2N2
1.0
3.2157 0.0000 0.0000
0.0000 3.2157 0.0000
0.0000 0.0000 7.6369
Ca V N
1 2 2
Direct
0.0000 0.0000 0.0000 Ca
0.5000 0.5000 0.3375 V
0.5000 0.5000 0.6625 V
0.0000 0.5000 0.7818 N
0.5000 0.0000 0.2182 N
```

Mass density: 3.57 g/cm3
Energy of formation: -481 meV/atom
SG: P-4m2 (115)

=====

# 8
## CsCeCdSe3 (GGA-PBE)

Data for a relaxed structure of CsCeCdSe3.

POSCAR file:
```
CsCeCdSe3
1.0
2.2234 -8.0935 0.0000
2.2234 8.0935 0.0000
0.0000 0.0000 11.5632
Cs Ce Cd Se
2 2 2 6
Direct
0.2424 0.7576 0.7500 Cs
0.7576 0.2424 0.2500 Cs
0.5000 0.5000 0.0000 Ce
0.5000 0.5000 0.5000 Ce
0.0393 0.9607 0.2500 Cd
0.9607 0.0393 0.7500 Cd
0.1204 0.8796 0.0526 Se
0.1204 0.8796 0.4474 Se
0.4403 0.5597 0.2500 Se
0.5597 0.4403 0.7500 Se
0.8796 0.1204 0.5526 Se
0.8796 0.1204 0.9474 Se
```

Mass density: 4.97 g/cm3
Energy of formation: -1576 meV/atom
SG: Cmcm (63)

=====

# 9
## LiTiP4O12 (GGA-PBE)

Data for a relaxed structure of LiTiP4O12.

POSCAR file:
```
LiTiP4O12
1.0
4.0866 -5.7551 0.0000
4.0866 5.7551 0.0000
-0.5661 0.0000 9.8026
Li Ti P O
2 2 8 24
Direct
0.1564 0.8436 0.7500 Li
0.8436 0.1564 0.2500 Li
0.1133 0.8867 0.2500 Ti
0.8867 0.1133 0.7500 Ti
0.2119 0.2777 0.0389 P
0.2769 0.6474 0.4758 P
0.2777 0.2119 0.5389 P
0.3526 0.7231 0.0242 P
0.6474 0.2769 0.9758 P
0.7223 0.7881 0.4611 P
0.7231 0.3526 0.5242 P
0.7881 0.7223 0.9611 P
0.0743 0.2418 0.9130 O
0.1287 0.1602 0.1613 O
0.1291 0.6522 0.3620 O
0.1602 0.1287 0.6613 O
0.2418 0.0743 0.4130 O
0.2422 0.7183 0.8929 O
0.2447 0.4137 0.4954 O
0.2784 0.5065 0.0925 O
0.2817 0.7578 0.6071 O
0.3478 0.8709 0.1380 O
0.4137 0.2447 0.9954 O
0.4935 0.7216 0.4075 O
0.5065 0.2784 0.5925 O
0.5863 0.7553 0.0046 O
0.6522 0.1291 0.8620 O
0.7183 0.2422 0.3929 O
0.7216 0.4935 0.9075 O
0.7553 0.5863 0.5046 O
0.7578 0.2817 0.1071 O
0.7582 0.9257 0.5870 O
0.8398 0.8713 0.3387 O
0.8709 0.3478 0.6380 O
0.8713 0.8398 0.8387 O
0.9257 0.7582 0.0870 O
```

E above lowest polymorph: 0.048 eV per atom
Mass density: 2.67 g/cm3
Energy of formation: -2707 meV/atom
SG: C2/c (15)

=====

# 10
## SnF4 (GGA-PBE)

Data for a relaxed structure of SnF4.

POSCAR file:
```
SnF4
1.0
5.8194 -2.5224 0.0000
5.8194 2.5224 0.0000
-1.9526 0.0000 4.6526
Sn F
2 8
Direct
0.0000 0.5000 0.0000 Sn
0.5000 0.0000 0.5000 Sn
0.1369 0.1379 0.6192 F
0.1379 0.1369 0.1192 F
0.3398 0.3756 0.3597 F
0.3756 0.3398 0.8597 F
0.6244 0.6602 0.1403 F
0.6602 0.6244 0.6403 F
0.8621 0.8631 0.8808 F
0.8631 0.8621 0.3808 F
```

Mass density: 4.73 g/cm3
Energy of formation: -2572 meV/atom
SG: C2/c (15)

=====

# 11
## NaAlCO5 (GGA-PBE)

Data for a relaxed structure of NaAlCO5.

POSCAR file:
```
NaAlCO5
1.0
-2.9249 3.4968 5.3448
2.9249 -3.4968 5.3448
2.9249 3.4968 -5.3448
Na Al C O
2 2 2 10
Direct
0.0000 0.0000 0.0000 Na
0.5000 0.0000 0.5000 Na
0.5000 0.0000 0.0000 Al
0.5000 0.5000 0.5000 Al
0.2555 0.5055 0.7500 C
0.7445 0.4945 0.2500 C
0.1367 0.3867 0.7500 O
0.3123 0.3661 0.5539 O
0.3123 0.7584 0.9461 O
0.3144 0.2215 0.0929 O
0.3715 0.7785 0.5929 O
0.6285 0.2215 0.4071 O
0.6856 0.7785 0.9071 O
0.6877 0.2416 0.0539 O
0.6877 0.6339 0.4461 O
0.8633 0.6133 0.2500 O
```

Mass density: 2.16 g/cm3
Energy of formation: -1966 meV/atom
SG: Imma (74)

=====

# 12
## AlH10C3N (GGA-PBE)

Data for a relaxed structure of AlH10C3N.

POSCAR file:
```
AlH10C3N
1.0
5.9618 0.0000 0.0000
0.0000 10.7392 0.0000
-3.9845 0.0000 10.1854
Al H C N
4 40 12 4
Direct
0.1998 0.0514 0.4768 Al
0.1998 0.4486 0.9768 Al
0.8002 0.5514 0.0232 Al
0.8002 0.9486 0.5232 Al
0.0306 0.0521 0.1748 H
0.0306 0.4479 0.6748 H
0.1344 0.1212 0.7213 H
0.1344 0.3788 0.2213 H
0.2010 0.7273 0.2052 H
0.2010 0.7727 0.7052 H
0.2057 0.0383 0.9374 H
0.2057 0.4617 0.4374 H
0.2536 0.7147 0.0561 H
0.2536 0.7853 0.5561 H
0.2673 0.1949 0.5123 H
0.2673 0.3051 0.0123 H
0.2667 0.6139 0.3945 H
0.2667 0.8861 0.8945 H
0.3259 0.5311 0.8963 H
0.3259 0.9689 0.3963 H
0.4194 0.0473 0.7805 H
0.4194 0.4527 0.2805 H
0.4688 0.6549 0.2047 H
0.4688 0.8451 0.7047 H
0.5312 0.1549 0.2953 H
0.5312 0.3451 0.7953 H
0.5806 0.5473 0.7195 H
0.5806 0.9527 0.2195 H
0.6741 0.0311 0.6037 H
0.6741 0.4689 0.1037 H
0.7333 0.1139 0.1055 H
0.7333 0.3861 0.6055 H
0.7327 0.6949 0.9877 H
0.7327 0.8051 0.4877 H
0.7464 0.2147 0.4439 H
0.7464 0.2853 0.9439 H
0.7943 0.5383 0.5626 H
0.7943 0.9617 0.0626 H
0.7990 0.2273 0.2948 H
0.7990 0.2727 0.7948 H
0.8656 0.6212 0.7787 H
0.8656 0.8788 0.2787 H
0.9694 0.5521 0.3252 H
0.9694 0.9479 0.8252 H
0.1619 0.5292 0.3560 C
0.1619 0.9708 0.8560 C
0.2237 0.0301 0.7454 C
0.2237 0.4699 0.2454 C
0.2749 0.6667 0.1479 C
0.2749 0.8333 0.6479 C
0.7251 0.1667 0.3521 C
0.7251 0.3333 0.8521 C
0.7763 0.5301 0.7546 C
0.7763 0.9699 0.2546 C
0.8381 0.0292 0.1440 C
0.8381 0.4708 0.6440 C
0.1546 0.5435 0.1212 N
0.1546 0.9565 0.6212 N
0.8454 0.0435 0.3788 N
0.8454 0.4565 0.8788 N
```

E above lowest polymorph: 0.002 eV per atom
Mass density: 0.89 g/cm3
Energy of formation: -186 meV/atom
SG: P2_1/c (14)

=====

Question: Number 10 is which compound?
Answer: SnF4

=====

Question: Which value of mass density does entry 2 give?
Answer: 11.39 g/cm3

=====

Question: Among the records above, which one has the highest mass density?
Answer: GdSi2Pt2